No. 1
{"formula": "Mn7P6O24", "functional": "GGA+U", "state": "optimized geometry", "space_group": "P-1", "lattice": [[6.3099, 0.0000, 0.0000], [-1.5732, 8.0917, 0.0000], [-2.9527, -2.9954, 8.5720]], "species": ["Mn", "Mn", "Mn", "Mn", "Mn", "Mn", "Mn", "P", "P", "P", "P", "P", "P", "O", "O", "O", "O", "O", "O", "O", "O", "O", "O", "O", "O", "O", "O", "O", "O", "O", "O", "O", "O", "O", "O", "O", "O"], "fractional_positions": [[0.0000, 0.0000, 0.0000], [0.0475, 0.7247, 0.5309], [0.2689, 0.8061, 0.2790], [0.3815, 0.4518, 0.1146], [0.6185, 0.5482, 0.8854], [0.7311, 0.1939, 0.7210], [0.9525, 0.2753, 0.4691], [0.0960, 0.5967, 0.8325], [0.2305, 0.1433, 0.7698], [0.3991, 0.2315, 0.3709], [0.6009, 0.7685, 0.6291], [0.7695, 0.8567, 0.2302], [0.9040, 0.4033, 0.1675], [0.0201, 0.1926, 0.6645], [0.0700, 0.5584, 0.6596], [0.1151, 0.7812, 0.9199], [0.1213, 0.5329, 0.1629], [0.2084, 0.9519, 0.7053], [0.2197, 0.1900, 0.9353], [0.2559, 0.2789, 0.4715], [0.2810, 0.0444, 0.2481], [0.3127, 0.5384, 0.9153], [0.3605, 0.7607, 0.5057], [0.4457, 0.3625, 0.2894], [0.4609, 0.2557, 0.7725], [0.5391, 0.7443, 0.2275], [0.5543, 0.6375, 0.7106], [0.6395, 0.2393, 0.4943], [0.6873, 0.4616, 0.0847], [0.7190, 0.9556, 0.7519], [0.7441, 0.7211, 0.5285], [0.7803, 0.8100, 0.0647], [0.7916, 0.0481, 0.2947], [0.8787, 0.4671, 0.8371], [0.8849, 0.2188, 0.0801], [0.9300, 0.4416, 0.3404], [0.9799, 0.8074, 0.3355]]}

No. 2
{"formula": "Mn3P4O14", "functional": "GGA+U", "state": "optimized geometry", "polymorph_energy_mev_per_atom": 2, "space_group": "P2_1/c", "lattice": [[7.2134, 0.0000, 0.0000], [0.0000, 8.2163, 0.0000], [-3.2671, 0.0000, 8.9564]], "species": ["Mn", "Mn", "Mn", "Mn", "Mn", "Mn", "P", "P", "P", "P", "P", "P", "P", "P", "O", "O", "O", "O", "O", "O", "O", "O", "O", "O", "O", "O", "O", "O", "O", "O", "O", "O", "O", "O", "O", "O", "O", "O", "O", "O", "O", "O"], "fractional_positions": [[0.0000, 0.0000, 0.0000], [0.0000, 0.5000, 0.5000], [0.1941, 0.1311, 0.5252], [0.1941, 0.3689, 0.0252], [0.8059, 0.6311, 0.9748], [0.8059, 0.8689, 0.4748], [0.1073, 0.7142, 0.8010], [0.1073, 0.7858, 0.3010], [0.4015, 0.0395, 0.2935], [0.4015, 0.4605, 0.7935], [0.5985, 0.5395, 0.2065], [0.5985, 0.9605, 0.7065], [0.8927, 0.2142, 0.6990], [0.8927, 0.2858, 0.1990], [0.0085, 0.2189, 0.8704], [0.0085, 0.2811, 0.3704], [0.0192, 0.5886, 0.8837], [0.0192, 0.9114, 0.3837], [0.1392, 0.6226, 0.3757], [0.1392, 0.8774, 0.8757], [0.2840, 0.1087, 0.1394], [0.2840, 0.3913, 0.6394], [0.3153, 0.6403, 0.8072], [0.3153, 0.8597, 0.3072], [0.3758, 0.1463, 0.4182], [0.3758, 0.3537, 0.9182], [0.3804, 0.5069, 0.1823], [0.3804, 0.9931, 0.6823], [0.6196, 0.0069, 0.3177], [0.6196, 0.4931, 0.8177], [0.6242, 0.6463, 0.0818], [0.6242, 0.8537, 0.5818], [0.6847, 0.1403, 0.6928], [0.6847, 0.3597, 0.1928], [0.7160, 0.6087, 0.3606], [0.7160, 0.8913, 0.8606], [0.8608, 0.1226, 0.1243], [0.8608, 0.3774, 0.6243], [0.9808, 0.0886, 0.6163], [0.9808, 0.4114, 0.1163], [0.9915, 0.7189, 0.6296], [0.9915, 0.7811, 0.1296]]}

No. 3
{"formula": "Mn2P2O7", "functional": "GGA+U", "state": "optimized geometry", "lattice": [[-1.5387, -1.5794, 4.0422], [-0.3690, -5.4230, -3.9436], [8.1247, -2.1819, 2.2402]], "species": ["O", "O", "O", "O", "O", "O", "O", "O", "O", "O", "O", "O", "O", "O", "P", "P", "P", "P", "Mn", "Mn", "Mn", "Mn"], "fractional_positions": [[0.7935, 0.1276, 0.5000], [0.2741, 0.2754, 0.6468], [0.2741, 0.7754, 0.8532], [0.7259, 0.2246, 0.1468], [0.0000, 0.0000, 0.0000], [0.2741, 0.2754, 0.3532], [0.0000, 0.5000, 0.5000], [0.2065, 0.8724, 0.5000], [0.2741, 0.7754, 0.1468], [0.7259, 0.7246, 0.3532], [0.7259, 0.7246, 0.6468], [0.2065, 0.3724, 0.0000], [0.7935, 0.6276, 0.0000], [0.7259, 0.2246, 0.8532], [0.0917, 0.7843, 0.0000], [0.9083, 0.7157, 0.5000], [0.0917, 0.2843, 0.5000], [0.9083, 0.2157, 0.0000], [0.5000, 0.5000, 0.1904], [0.5000, 0.0000, 0.6904], [0.5000, 0.5000, 0.8096], [0.5000, 0.0000, 0.3096]]}

No. 4
{"formula": "MnPO3", "functional": "GGA+U", "state": "optimized geometry", "space_group": "P2_1/c", "lattice": [[8.1853, 0.0000, 0.0000], [0.0000, 8.3097, 0.0000], [-6.0208, 0.0000, 8.6375]], "species": ["Mn", "Mn", "Mn", "Mn", "Mn", "Mn", "Mn", "Mn", "P", "P", "P", "P", "P", "P", "P", "P", "O", "O", "O", "O", "O", "O", "O", "O", "O", "O", "O", "O", "O", "O", "O", "O", "O", "O", "O", "O", "O", "O", "O", "O"], "fractional_positions": [[0.0261, 0.2100, 0.0129], [0.0261, 0.2900, 0.5129], [0.3185, 0.1319, 0.8746], [0.3185, 0.3681, 0.3746], [0.6815, 0.6319, 0.6254], [0.6815, 0.8681, 0.1254], [0.9739, 0.7100, 0.4871], [0.9739, 0.7900, 0.9871], [0.0970, 0.0077, 0.3167], [0.0970, 0.4923, 0.8167], [0.4495, 0.6469, 0.2347], [0.4495, 0.8531, 0.7347], [0.5505, 0.1469, 0.2653], [0.5505, 0.3531, 0.7653], [0.9030, 0.5077, 0.1833], [0.9030, 0.9923, 0.6833], [0.0161, 0.5156, 0.3648], [0.0161, 0.9844, 0.8648], [0.0428, 0.0835, 0.6513], [0.0428, 0.4165, 0.1513], [0.1474, 0.1782, 0.3935], [0.1474, 0.3218, 0.8935], [0.2834, 0.7290, 0.6434], [0.2834, 0.7710, 0.1434], [0.3478, 0.2120, 0.2261], [0.3478, 0.2880, 0.7261], [0.4720, 0.5897, 0.3854], [0.4720, 0.9103, 0.8854], [0.5280, 0.0897, 0.1146], [0.5280, 0.4103, 0.6146], [0.6522, 0.7120, 0.2739], [0.6522, 0.7880, 0.7739], [0.7166, 0.2290, 0.8566], [0.7166, 0.2710, 0.3566], [0.8526, 0.6782, 0.1065], [0.8526, 0.8218, 0.6065], [0.9572, 0.5835, 0.8487], [0.9572, 0.9165, 0.3487], [0.9839, 0.0156, 0.1352], [0.9839, 0.4844, 0.6352]]}

| no. | energy relative to the elements (eV/atom) | total energy after the MP2020 corrections (eV per formula unit) |
| --- | --- | --- |
| 1 | -2.469 | -306.724 |
| 2 | -2.490 | -170.693 |
| 3 | -2.582 | -92.188 |
| 4 | -2.163 | -40.232 |